Computed, not measured: a geometry-optimized NaSrTiBiO6 structure at the GGA-PBE level of DFT.

Calculated values
ΔH_f (0 K)	-2.4529	eV/atom
crystal system	cubic

Geometry as CIF:
```
data_NaSrTiBiO6
_chemical_formula_sum 'Na4 Sr4 Ti4 Bi4 O24'
_cell_length_a 8.125
_cell_length_b 8.125
_cell_length_c 8.125
_cell_angle_alpha 90.00
_cell_angle_beta 90.00
_cell_angle_gamma 90.00
_space_group_name_H-M_alt 'F -4 3 m'
_space_group_IT_number 216
_space_group_name_Hall 'F -4 2 3'
loop_
_atom_site_label
_atom_site_type_symbol
_atom_site_fract_x
_atom_site_fract_y
_atom_site_fract_z
_atom_site_occupancy
Na1 Na 0.000 0.000 0.000 1
Sr1 Sr 0.000 0.000 0.500 1
Ti1 Ti 0.250 0.250 0.250 1
Bi1 Bi 0.250 0.250 0.750 1
O1 O 0.009 0.250 0.250 1
```

***

Computed, not measured: a geometry-optimized NaTa4Bi5O18 structure at the GGA-PBE level of DFT.

Calculated values
ΔH_f (0 K)	-2.5814	eV/atom
crystal system	monoclinic

Geometry as CIF:
```
data_NaTa4Bi5O18
_chemical_formula_sum 'Na2 Ta8 Bi10 O36'
_cell_length_a 5.503
_cell_length_b 25.325
_cell_length_c 5.550
_cell_angle_alpha 90.00
_cell_angle_beta 90.04
_cell_angle_gamma 90.00
_space_group_name_H-M_alt 'C 1 m 1'
_space_group_IT_number 8
loop_
_space_group_symop_operation_xyz
'x,y,z'
'x,-y,z'
'x+1/2,y+1/2,z'
'x+1/2,-y+1/2,z'
loop_
_atom_site_label
_atom_site_type_symbol
_atom_site_fract_x
_atom_site_fract_y
_atom_site_fract_z
_atom_site_occupancy
Na1 Na 0.000 0.000 0.000 1
Ta1 Ta 0.000 0.083 0.467 1
Ta2 Ta 0.001 0.416 0.974 1
Bi1 Bi 0.032 0.301 0.522 1
Bi2 Bi 0.474 0.300 0.022 1
Bi3 Bi 0.488 0.000 0.523 1
O1 O 0.072 0.343 0.956 1
O2 O 0.079 0.000 0.444 1
O3 O 0.207 0.088 0.162 1
O4 O 0.214 0.434 0.243 1
O5 O 0.243 0.249 0.253 1
O6 O 0.262 0.249 0.753 1
O7 O 0.286 0.434 0.736 1
O8 O 0.305 0.086 0.656 1
O9 O 0.435 0.343 0.458 1
O10 O 0.438 0.000 0.928 1
```

***

Computed, not measured: a geometry-optimized NaTi2BiO6 structure at the GGA-PBE level of DFT.

Calculated values
ΔH_f (0 K)	-2.8298	eV/atom
crystal system	orthorhombic

Geometry as CIF:
```
data_NaTi2BiO6
_chemical_formula_sum 'Na2 Ti4 Bi2 O12'
_cell_length_a 7.702
_cell_length_b 7.789
_cell_length_c 4.231
_cell_angle_alpha 90.00
_cell_angle_beta 90.00
_cell_angle_gamma 90.00
_space_group_name_H-M_alt 'C m m 2'
_space_group_IT_number 35
loop_
_space_group_symop_operation_xyz
'x,y,z'
'-x,-y,z'
'-x,y,z'
'x,-y,z'
'x+1/2,y+1/2,z'
'-x+1/2,-y+1/2,z'
'-x+1/2,y+1/2,z'
'x+1/2,-y+1/2,z'
loop_
_atom_site_label
_atom_site_type_symbol
_atom_site_fract_x
_atom_site_fract_y
_atom_site_fract_z
_atom_site_occupancy
Na1 Na 0.000 0.000 0.000 1
Ti1 Ti 0.250 0.250 0.542 1
Bi1 Bi 0.000 0.500 0.954 1
O1 O 0.000 0.249 0.644 1
O2 O 0.234 0.500 0.628 1
O3 O 0.250 0.250 0.125 1
```

***

Computed, not measured: a geometry-optimized NaTi2BiO6 structure at the GGA-PBE level of DFT.

Calculated values
ΔH_f (0 K)	-2.8192	eV/atom
crystal system	monoclinic

Geometry as CIF:
```
data_NaTi2BiO6
_chemical_formula_sum 'Na2 Ti4 Bi2 O12'
_cell_length_a 10.796
_cell_length_b 5.493
_cell_length_c 5.638
_cell_angle_alpha 90.00
_cell_angle_beta 112.10
_cell_angle_gamma 90.00
_space_group_name_H-M_alt 'C 1 2/m 1'
_space_group_IT_number 12
loop_
_space_group_symop_operation_xyz
'x,y,z'
'-x,-y,-z'
'-x,y,-z'
'x,-y,z'
'x+1/2,y+1/2,z'
'-x+1/2,-y+1/2,-z'
'-x+1/2,y+1/2,-z'
'x+1/2,-y+1/2,z'
loop_
_atom_site_label
_atom_site_type_symbol
_atom_site_fract_x
_atom_site_fract_y
_atom_site_fract_z
_atom_site_occupancy
Na1 Na 0.000 0.000 0.000 1
Ti1 Ti 0.232 0.500 0.100 1
Bi1 Bi 0.000 0.500 0.500 1
O1 O 0.128 0.250 0.851 1
O2 O 0.177 0.500 0.353 1
```

***

Computed, not measured: a geometry-optimized NaTi2BiO6 structure at the GGA-PBE level of DFT.

Calculated values
largest piezoelectric modulus	6.209	C/m2
ΔH_f (0 K)	-2.8329	eV/atom
crystal system	trigonal

Geometry as CIF:
```
data_NaTi2BiO6
_chemical_formula_sum 'Na3 Ti6 Bi3 O18'
_cell_length_a 5.5138
_cell_length_b 5.5138
_cell_length_c 13.8401
_cell_angle_alpha 90.00
_cell_angle_beta 90.00
_cell_angle_gamma 120.00
_space_group_name_H-M_alt 'R 3'
_space_group_IT_number 146
_space_group_name_Hall 'R 3'
loop_
_atom_site_label
_atom_site_type_symbol
_atom_site_fract_x
_atom_site_fract_y
_atom_site_fract_z
_atom_site_occupancy
Na1 Na 0.0000 0.0000 0.0000 1
Ti1 Ti 0.0000 0.0000 0.2405 1
Ti2 Ti 0.0000 0.0000 0.7453 1
Bi1 Bi 0.0000 0.0000 0.5148 1
O1 O 0.9996 0.5635 0.4765 1
O2 O 0.1127 0.3430 0.3044 1
```

***

Computed, not measured: a geometry-optimized NaBiSe2 structure at the GGA-PBE level of DFT.

Calculated values
ΔH_f (0 K)	-0.8731	eV/atom
crystal system	tetragonal

Geometry as CIF:
```
data_NaBiSe2
_chemical_formula_sum 'Na1 Bi1 Se2'
_cell_length_a 4.259
_cell_length_b 4.259
_cell_length_c 5.836
_cell_angle_alpha 90.00
_cell_angle_beta 90.00
_cell_angle_gamma 90.00
_space_group_name_H-M_alt 'P 4/m m m'
_space_group_IT_number 123
_space_group_name_Hall '-P 4 2'
loop_
_atom_site_label
_atom_site_type_symbol
_atom_site_fract_x
_atom_site_fract_y
_atom_site_fract_z
_atom_site_occupancy
Na1 Na 0.000 0.000 0.000 1
Bi1 Bi 0.500 0.500 0.500 1
Se1 Se 0.000 0.000 0.500 1
Se2 Se 0.500 0.500 0.000 1
```

***

Computed, not measured: a geometry-optimized NaBiSe2 structure at the GGA-PBE level of DFT.

Calculated values
ΔH_f (0 K)	-0.9679	eV/atom
crystal system	trigonal

Geometry as CIF:
```
data_NaBiSe2
_chemical_formula_sum 'Na3 Bi3 Se6'
_cell_length_a 4.2309
_cell_length_b 4.2309
_cell_length_c 21.3026
_cell_angle_alpha 90.00
_cell_angle_beta 90.00
_cell_angle_gamma 120.00
_space_group_name_H-M_alt 'R -3 m'
_space_group_IT_number 166
_space_group_name_Hall '-R 3 2"'
loop_
_atom_site_label
_atom_site_type_symbol
_atom_site_fract_x
_atom_site_fract_y
_atom_site_fract_z
_atom_site_occupancy
Na1 Na 0.0000 0.0000 0.0000 1
Bi1 Bi 0.0000 0.0000 0.5000 1
Se1 Se 0.0000 0.0000 0.2467 1
```

***

Computed, not measured: a geometry-optimized NaBiSe2 structure at the GGA-PBE level of DFT.

Calculated values
ΔH_f (0 K)	-0.9220	eV/atom
crystal system	tetragonal

Geometry as CIF:
```
data_NaBiSe2
_chemical_formula_sum 'Na4 Bi4 Se8'
_cell_length_a 5.936
_cell_length_b 5.936
_cell_length_c 12.318
_cell_angle_alpha 90.00
_cell_angle_beta 90.00
_cell_angle_gamma 90.00
_space_group_name_H-M_alt 'I 41/a m d'
_space_group_IT_number 141
loop_
_space_group_symop_operation_xyz
'x,y,z'
'-x,-y,-z'
'-y+1/4,x+3/4,z+1/4'
'y+1/4,-x+3/4,-z+1/4'
'-x+1/2,-y,z+1/2'
'x+1/2,y,-z+1/2'
'y+1/4,-x+1/4,z+3/4'
'-y+1/4,x+1/4,-z+3/4'
'x,-y,-z'
'-x,y,z'
'-y+1/4,-x+1/4,-z+3/4'
'y+1/4,x+1/4,z+3/4'
'-x+1/2,y,-z+1/2'
'x+1/2,-y,z+1/2'
'y+1/4,x+3/4,-z+1/4'
'-y+1/4,-x+3/4,z+1/4'
'x+1/2,y+1/2,z+1/2'
'-x+1/2,-y+1/2,-z+1/2'
'-y+3/4,x+1/4,z+3/4'
'y+3/4,-x+1/4,-z+3/4'
'-x,-y+1/2,z'
'x,y+1/2,-z'
'y+3/4,-x+3/4,z+1/4'
'-y+3/4,x+3/4,-z+1/4'
'x+1/2,-y+1/2,-z+1/2'
'-x+1/2,y+1/2,z+1/2'
'-y+3/4,-x+3/4,-z+1/4'
'y+3/4,x+3/4,z+1/4'
'-x,y+1/2,-z'
'x,-y+1/2,z'
'y+3/4,x+1/4,-z+3/4'
'-y+3/4,-x+1/4,z+3/4'
loop_
_atom_site_label
_atom_site_type_symbol
_atom_site_fract_x
_atom_site_fract_y
_atom_site_fract_z
_atom_site_occupancy
Na1 Na 0.000 0.250 0.375 1
Bi1 Bi 0.000 0.250 0.875 1
Se1 Se 0.000 0.250 0.115 1
```

***

Computed, not measured: a geometry-optimized NaBiTe2 structure at the GGA-PBE level of DFT.

Calculated values
ΔH_f (0 K)	-0.6487	eV/atom
crystal system	tetragonal

Geometry as CIF:
```
data_NaBiTe2
_chemical_formula_sum 'Na1 Bi1 Te2'
_cell_length_a 4.531
_cell_length_b 4.531
_cell_length_c 6.320
_cell_angle_alpha 90.00
_cell_angle_beta 90.00
_cell_angle_gamma 90.00
_space_group_name_H-M_alt 'P 4/m m m'
_space_group_IT_number 123
_space_group_name_Hall '-P 4 2'
loop_
_atom_site_label
_atom_site_type_symbol
_atom_site_fract_x
_atom_site_fract_y
_atom_site_fract_z
_atom_site_occupancy
Na1 Na 0.000 0.000 0.000 1
Bi1 Bi 0.500 0.500 0.500 1
Te1 Te 0.000 0.000 0.500 1
Te2 Te 0.500 0.500 0.000 1
```

***

Computed, not measured: a geometry-optimized NaBiTe2 structure at the GGA-PBE level of DFT.

Calculated values
ΔH_f (0 K)	-0.7453	eV/atom
crystal system	trigonal

Geometry as CIF:
```
data_NaBiTe2
_chemical_formula_sum 'Na3 Bi3 Te6'
_cell_length_a 4.5104
_cell_length_b 4.5104
_cell_length_c 22.8847
_cell_angle_alpha 90.00
_cell_angle_beta 90.00
_cell_angle_gamma 120.00
_space_group_name_H-M_alt 'R -3 m'
_space_group_IT_number 166
_space_group_name_Hall '-R 3 2"'
loop_
_atom_site_label
_atom_site_type_symbol
_atom_site_fract_x
_atom_site_fract_y
_atom_site_fract_z
_atom_site_occupancy
Na1 Na 0.0000 0.0000 0.0000 1
Bi1 Bi 0.0000 0.0000 0.5000 1
Te1 Te 0.0000 0.0000 0.2458 1
```

***

Computed, not measured: a geometry-optimized Nb3Bi structure at the GGA-PBE level of DFT.

Calculated values
ΔH_f (0 K)	0.0325	eV/atom
crystal system	cubic

Geometry as CIF:
```
data_Nb3Bi
_chemical_formula_sum 'Nb6 Bi2'
_cell_length_a 5.388
_cell_length_b 5.388
_cell_length_c 5.388
_cell_angle_alpha 90.00
_cell_angle_beta 90.00
_cell_angle_gamma 90.00
_space_group_name_H-M_alt 'P m -3 n'
_space_group_IT_number 223
_space_group_name_Hall '-P 4n 2 3'
loop_
_atom_site_label
_atom_site_type_symbol
_atom_site_fract_x
_atom_site_fract_y
_atom_site_fract_z
_atom_site_occupancy
Nb1 Nb 0.000 0.250 0.500 1
Bi1 Bi 0.000 0.000 0.000 1
```

***

Computed, not measured: a geometry-optimized Nb3Bi structure at the GGA-PBE level of DFT.

Calculated values
ΔH_f (0 K)	0.2167	eV/atom
crystal system	orthorhombic

Geometry as CIF:
```
data_Nb3Bi
_chemical_formula_sum 'Nb6 Bi2'
_cell_length_a 3.550
_cell_length_b 5.104
_cell_length_c 9.082
_cell_angle_alpha 90.00
_cell_angle_beta 90.00
_cell_angle_gamma 90.00
_space_group_name_H-M_alt 'C m m m'
_space_group_IT_number 65
_space_group_name_Hall '-C 2 2'
loop_
_atom_site_label
_atom_site_type_symbol
_atom_site_fract_x
_atom_site_fract_y
_atom_site_fract_z
_atom_site_occupancy
Nb1 Nb 0.000 0.000 0.000 1
Nb2 Nb 0.000 0.500 0.235 1
Bi1 Bi 0.000 0.000 0.500 1
```

***

Computed, not measured: a geometry-optimized NbBi7O13 structure at the GGA-PBE level of DFT.

Calculated values
ΔH_f (0 K)	-1.7657	eV/atom
crystal system	triclinic

Geometry as CIF:
```
data_NbBi7O13
_chemical_formula_sum 'Nb1 Bi7 O13'
_cell_length_a 3.928
_cell_length_b 3.968
_cell_length_c 22.639
_cell_angle_alpha 90.18
_cell_angle_beta 91.16
_cell_angle_gamma 91.06
_space_group_name_H-M_alt 'P 1'
_space_group_IT_number 1
loop_
_space_group_symop_operation_xyz
'x,y,z'
loop_
_atom_site_label
_atom_site_type_symbol
_atom_site_fract_x
_atom_site_fract_y
_atom_site_fract_z
_atom_site_occupancy
Nb1 Nb 0.000 0.000 0.000 1
Bi1 Bi 0.050 0.076 0.770 1
Bi2 Bi 0.327 0.699 0.122 1
Bi3 Bi 0.468 0.595 0.383 1
Bi4 Bi 0.470 0.607 0.632 1
Bi5 Bi 0.535 0.545 0.883 1
Bi6 Bi 0.996 0.160 0.518 1
Bi7 Bi 0.997 0.088 0.269 1
O1 O 0.036 0.533 0.825 1
O2 O 0.058 0.560 0.963 1
O3 O 0.213 0.089 0.367 1
O4 O 0.226 0.590 0.291 1
O5 O 0.228 0.608 0.467 1
O6 O 0.264 0.173 0.068 1
O7 O 0.326 0.110 0.195 1
O8 O 0.452 0.150 0.572 1
O9 O 0.502 0.250 0.710 1
O10 O 0.522 0.042 0.832 1
O11 O 0.550 0.054 0.965 1
O12 O 0.817 0.725 0.068 1
O13 O 0.958 0.611 0.582 1
```

***

Computed, not measured: a geometry-optimized Nb16Bi47O111 structure at the GGA-PBE level of DFT.

Calculated values
ΔH_f (0 K)	-1.6135	eV/atom
crystal system	monoclinic

Geometry as CIF:
```
data_Nb16Bi47O111
_chemical_formula_sum 'Nb32 Bi94 O222'
_cell_length_a 18.943
_cell_length_b 19.344
_cell_length_c 17.357
_cell_angle_alpha 90.00
_cell_angle_beta 119.83
_cell_angle_gamma 90.00
_space_group_name_H-M_alt 'C 1 2 1'
_space_group_IT_number 5
loop_
_space_group_symop_operation_xyz
'x,y,z'
'-x,y,-z'
'x+1/2,y+1/2,z'
'-x+1/2,y+1/2,-z'
loop_
_atom_site_label
_atom_site_type_symbol
_atom_site_fract_x
_atom_site_fract_y
_atom_site_fract_z
_atom_site_occupancy
Nb1 Nb 0.040 0.000 0.228 1
Nb2 Nb 0.040 0.503 0.913 1
Nb3 Nb 0.081 0.654 0.666 1
Nb4 Nb 0.113 0.319 0.030 1
Nb5 Nb 0.125 0.824 0.388 1
Nb6 Nb 0.153 0.120 0.825 1
Nb7 Nb 0.189 0.856 0.230 1
Nb8 Nb 0.240 0.515 0.619 1
Bi1 Bi 0.000 0.129 0.500 1
Bi2 Bi 0.000 0.516 0.500 1
Bi3 Bi 0.000 0.762 0.500 1
Bi4 Bi 0.034 0.157 0.932 1
Bi5 Bi 0.035 0.977 0.657 1
Bi6 Bi 0.037 0.848 0.912 1
Bi7 Bi 0.043 0.696 0.199 1
Bi8 Bi 0.061 0.337 0.211 1
Bi9 Bi 0.076 0.479 0.347 1
Bi10 Bi 0.083 0.293 0.685 1
Bi11 Bi 0.110 0.178 0.371 1
Bi12 Bi 0.117 0.987 0.069 1
Bi13 Bi 0.128 0.661 0.063 1
Bi14 Bi 0.150 0.655 0.463 1
Bi15 Bi 0.151 0.325 0.506 1
Bi16 Bi 0.167 0.485 0.760 1
Bi17 Bi 0.167 0.792 0.816 1
Bi18 Bi 0.181 0.020 0.551 1
Bi19 Bi 0.183 0.159 0.217 1
Bi20 Bi 0.192 0.464 0.179 1
Bi21 Bi 0.202 0.625 0.908 1
Bi22 Bi 0.221 0.967 0.946 1
Bi23 Bi 0.226 0.846 0.613 1
Bi24 Bi 0.236 0.180 0.655 1
Bi25 Bi 0.250 0.305 0.925 1
O1 O 0.000 0.075 0.000 1
O2 O 0.000 0.338 0.000 1
O3 O 0.000 0.507 0.000 1
O4 O 0.000 0.689 0.000 1
O5 O 0.000 0.901 0.000 1
O6 O 0.003 0.584 0.144 1
O7 O 0.026 0.605 0.380 1
O8 O 0.031 0.437 0.431 1
O9 O 0.037 0.415 0.757 1
O10 O 0.038 0.743 0.657 1
O11 O 0.041 0.053 0.439 1
O12 O 0.044 0.865 0.286 1
O13 O 0.048 0.058 0.759 1
O14 O 0.049 0.267 0.388 1
O15 O 0.053 0.957 0.875 1
O16 O 0.055 0.450 0.172 1
O17 O 0.062 0.891 0.439 1
O18 O 0.064 0.088 0.194 1
O19 O 0.074 0.278 0.917 1
O20 O 0.079 0.204 0.074 1
O21 O 0.080 0.664 0.557 1
O22 O 0.088 0.193 0.740 1
O23 O 0.089 0.454 0.840 1
O24 O 0.093 0.800 0.172 1
O25 O 0.101 0.904 0.535 1
O26 O 0.106 0.945 0.181 1
O27 O 0.107 0.261 0.583 1
O28 O 0.114 0.713 0.859 1
O29 O 0.116 0.586 0.773 1
O30 O 0.117 0.721 0.344 1
O31 O 0.125 0.768 0.488 1
O32 O 0.130 0.771 0.033 1
O33 O 0.135 0.100 0.603 1
O34 O 0.135 0.539 0.633 1
O35 O 0.136 0.412 0.013 1
O36 O 0.138 0.380 0.350 1
O37 O 0.142 0.237 0.287 1
O38 O 0.146 0.995 0.345 1
O39 O 0.152 0.662 0.201 1
O40 O 0.155 0.546 0.967 1
O41 O 0.159 0.081 0.933 1
O42 O 0.159 0.349 0.173 1
O43 O 0.174 0.855 0.934 1
O44 O 0.187 0.506 0.498 1
O45 O 0.193 0.698 0.752 1
O46 O 0.205 0.223 0.497 1
O47 O 0.205 0.899 0.127 1
O48 O 0.211 0.821 0.348 1
O49 O 0.215 0.266 0.075 1
O50 O 0.215 0.597 0.390 1
O51 O 0.221 0.872 0.489 1
O52 O 0.223 0.053 0.163 1
O53 O 0.225 0.076 0.801 1
O54 O 0.233 0.295 0.773 1
O55 O 0.234 0.113 0.360 1
O56 O 0.234 0.188 0.909 1
O57 O 0.234 0.952 0.676 1
O58 O 0.235 0.434 0.688 1
```